# Mo3WSe6S2

An optimized crystal structure of Mo3WSe6S2 (PBE, Materials Project).

The value obtained for the formation energy is -0.77 eV per atom. The MP2020-corrected energy comes out at -83.9 eV per cell. For the total magnetic moment, the calculation gives 0.00 μB/cell. The offset from the most stable computed form comes out at 16.1 meV/atom.

Unit cell a=3.2915 b=3.2915 c=37.6374 alpha=90.00 beta=90.00 gamma=120.00
With the nearest neighbours (Å) after each atom.
Fractional coordinates of all 12 atoms:
Mo  0.0000  0.0000  0.0000  6 Se 2.54
Mo  0.0000  0.0000  0.3755  6 Se 2.54
Mo  0.3333  0.6667  0.1885  6 S 2.44
W  0.3333  0.6667  0.5656  6 Se 2.55
Se  0.0000  0.0000  0.5206  3 W 2.55
Se  0.0000  0.0000  0.6106  3 W 2.55
Se  0.3333  0.6667  0.0448  3 Mo 2.54
Se  0.3333  0.6667  0.3307  3 Mo 2.54
Se  0.3333  0.6667  0.4202  3 Mo 2.54
Se  0.3333  0.6667  0.9552  3 Mo 2.54
S  0.0000  0.0000  0.1478  3 Mo 2.44
S  0.0000  0.0000  0.2292  3 Mo 2.44

***

# Si

An optimized crystal structure of Si (PBE, Materials Project).

The value obtained for the formation energy is 0.13 eV per atom. For the total magnetic moment, the calculation gives 0.00 μB/cell. The offset from the most stable computed form comes out at 128.9 meV/atom.

Unit cell a=14.8416 b=14.8416 c=9.9022 alpha=93.55 beta=93.55 gamma=61.70
With the nearest neighbours (Å) after each atom.
Fractional coordinates of all 82 atoms:
Si  0.0019  0.9981  0.7500  4 Si 2.40-2.45
Si  0.0131  0.4753  0.7530  4 Si 2.37-2.42
Si  0.0430  0.2240  0.7666  4 Si 2.35-2.38
Si  0.0450  0.8464  0.6009  4 Si 2.35-2.45
Si  0.0468  0.6157  0.1193  4 Si 2.35-2.39
Si  0.0498  0.5971  0.8784  4 Si 2.34-2.39
Si  0.0549  0.8431  0.3594  4 Si 2.38-2.40
Si  0.0992  0.1787  0.3938  4 Si 2.34-2.36
Si  0.1012  0.2867  0.2334  4 Si 2.34-2.36
Si  0.1403  0.4056  0.3580  4 Si 2.36-2.39
Si  0.1489  0.3842  0.5963  4 Si 2.34-2.42
Si  0.1524  0.2251  0.6038  4 Si 2.34-2.36
Si  0.1536  0.9550  0.8991  4 Si 2.35-2.45
Si  0.1569  0.9451  0.1406  4 Si 2.38-2.40
Si  0.1787  0.0992  0.8938  4 Si 2.34-2.36
Si  0.2072  0.7119  0.6823  4 Si 2.38-2.42
Si  0.2082  0.5754  0.8035  4 Si 2.37-2.41
Si  0.2188  0.5699  0.1780  4 Si 2.35-2.38
Si  0.2202  0.7059  0.3126  4 Si 2.33-2.38
Si  0.2240  0.0430  0.2666  4 Si 2.35-2.38
Si  0.2251  0.1524  0.1038  4 Si 2.34-2.36
Si  0.2854  0.4176  0.6745  4 Si 2.37-2.39
Si  0.2864  0.4193  0.3011  4 Si 2.36-2.38
Si  0.2867  0.1012  0.7334  4 Si 2.34-2.36
Si  0.2881  0.7928  0.8177  4 Si 2.38-2.42
Si  0.2941  0.7798  0.1874  4 Si 2.33-2.38
Si  0.3234  0.6270  0.5045  4 Si 2.35-2.39
Si  0.3237  0.5450  0.9926  4 Si 2.37-2.39
Si  0.3682  0.4493  0.4971  4 Si 2.36-2.39
Si  0.3730  0.6766  0.9955  4 Si 2.35-2.39
Si  0.3842  0.1489  0.0963  4 Si 2.34-2.42
Si  0.3843  0.9532  0.3807  4 Si 2.35-2.39
Si  0.4029  0.9502  0.6216  4 Si 2.34-2.39
Si  0.4056  0.1403  0.8580  4 Si 2.36-2.39
Si  0.4176  0.2854  0.1745  4 Si 2.37-2.39
Si  0.4193  0.2864  0.8011  4 Si 2.36-2.38
Si  0.4246  0.7917  0.6965  4 Si 2.37-2.41
Si  0.4301  0.7812  0.3220  4 Si 2.35-2.38
Si  0.4493  0.3682  0.9971  4 Si 2.36-2.39
Si  0.4550  0.6763  0.5074  4 Si 2.37-2.39
Si  0.4753  0.0131  0.2530  4 Si 2.37-2.42
Si  0.5247  0.9869  0.7470  4 Si 2.37-2.42
Si  0.5450  0.3237  0.4926  4 Si 2.37-2.39
Si  0.5507  0.6318  0.0029  4 Si 2.36-2.39
Si  0.5699  0.2188  0.6780  4 Si 2.35-2.38
Si  0.5754  0.2082  0.3035  4 Si 2.37-2.41
Si  0.5807  0.7136  0.1989  4 Si 2.36-2.38
Si  0.5824  0.7146  0.8255  4 Si 2.37-2.39
Si  0.5944  0.8597  0.1420  4 Si 2.36-2.39
Si  0.5971  0.0498  0.3784  4 Si 2.34-2.39
Si  0.6157  0.0468  0.6193  4 Si 2.35-2.39
Si  0.6158  0.8511  0.9037  4 Si 2.34-2.42
Si  0.6270  0.3234  0.0045  4 Si 2.35-2.39
Si  0.6318  0.5507  0.5029  4 Si 2.36-2.39
Si  0.6763  0.4550  0.0074  4 Si 2.37-2.39
Si  0.6766  0.3730  0.4955  4 Si 2.35-2.39
Si  0.7059  0.2202  0.8126  4 Si 2.33-2.38
Si  0.7119  0.2072  0.1823  4 Si 2.38-2.42
Si  0.7133  0.8988  0.2666  4 Si 2.34-2.36
Si  0.7136  0.5807  0.6989  4 Si 2.36-2.38
Si  0.7146  0.5824  0.3255  4 Si 2.37-2.39
Si  0.7749  0.8476  0.8962  4 Si 2.34-2.36
Si  0.7760  0.9570  0.7334  4 Si 2.35-2.38
Si  0.7798  0.2941  0.6874  4 Si 2.33-2.38
Si  0.7812  0.4301  0.8220  4 Si 2.35-2.38
Si  0.7917  0.4246  0.1965  4 Si 2.37-2.41
Si  0.7928  0.2881  0.3177  4 Si 2.38-2.42
Si  0.8213  0.9008  0.1062  4 Si 2.34-2.36
Si  0.8431  0.0549  0.8594  4 Si 2.38-2.40
Si  0.8464  0.0450  0.1009  4 Si 2.35-2.45
Si  0.8476  0.7749  0.3962  4 Si 2.34-2.36
Si  0.8511  0.6158  0.4037  4 Si 2.34-2.42
Si  0.8597  0.5944  0.6420  4 Si 2.36-2.39
Si  0.8988  0.7133  0.7666  4 Si 2.34-2.36
Si  0.9008  0.8213  0.6062  4 Si 2.34-2.36
Si  0.9451  0.1569  0.6406  4 Si 2.38-2.40
Si  0.9502  0.4029  0.1216  4 Si 2.34-2.39
Si  0.9532  0.3843  0.8807  4 Si 2.35-2.39
Si  0.9550  0.1536  0.3991  4 Si 2.35-2.45
Si  0.9570  0.7760  0.2334  4 Si 2.35-2.38
Si  0.9869  0.5247  0.2470  4 Si 2.37-2.42
Si  0.9981  0.0019  0.2500  4 Si 2.40-2.45

***

# Nb9IrS20

An optimized crystal structure of Nb9IrS20 (PBE, Materials Project).

The value obtained for the formation energy is -1.24 eV per atom. The MP2020-corrected energy comes out at -219.8 eV per cell. For the total magnetic moment, the calculation gives 0.01 μB/cell.

Unit cell a=6.8192 b=9.3659 c=11.0004 alpha=80.99 beta=81.34 gamma=68.98
With the nearest neighbours (Å) after each atom.
Fractional coordinates of all 30 atoms:
Nb  0.0000  0.0000  0.0000  6 S 2.46-2.54
Nb  0.0695  0.2145  0.2226  5 S 2.36-2.60
Nb  0.2074  0.4016  0.3970  6 S 2.41-2.56
Nb  0.3084  0.5892  0.5872  6 S 2.44-2.61
Nb  0.4028  0.8168  0.8194  6 S 2.37-2.63
Nb  0.5972  0.1832  0.1806  6 S 2.37-2.63
Nb  0.6916  0.4108  0.4128  6 S 2.44-2.61
Nb  0.7926  0.5984  0.6030  6 S 2.41-2.56
Nb  0.9305  0.7855  0.7774  5 S 2.36-2.60
Ir  0.5000  0.0000  0.0000  6 S 2.42-2.44
S  0.0511  0.6775  0.4358  3 Nb 2.44-2.56
S  0.0546  0.5149  0.7597  3 Nb 2.40-2.56
S  0.1499  0.7245  0.9582  3 Nb 2.43-2.54
S  0.1698  0.8744  0.6360  3 Nb 2.36-2.63
S  0.2459  0.9376  0.1587  1 Ir 2.43, 2 Nb 2.46-2.60
S  0.2566  0.0872  0.8407  2 Nb 2.40-2.54, 1 Ir 2.44
S  0.3406  0.2670  0.0374  2 Nb 2.37-2.65, 1 Ir 2.42
S  0.3456  0.1236  0.3624  3 Nb 2.44-2.56
S  0.4505  0.3142  0.5653  3 Nb 2.44-2.52
S  0.4566  0.4667  0.2389  3 Nb 2.41-2.63
S  0.5434  0.5333  0.7611  3 Nb 2.41-2.63
S  0.5495  0.6858  0.4347  3 Nb 2.44-2.52
S  0.6544  0.8764  0.6376  3 Nb 2.44-2.56
S  0.6594  0.7330  0.9626  2 Nb 2.37-2.65, 1 Ir 2.42
S  0.7434  0.9128  0.1593  2 Nb 2.40-2.54, 1 Ir 2.44
S  0.7541  0.0624  0.8413  1 Ir 2.43, 2 Nb 2.46-2.60
S  0.8302  0.1256  0.3640  3 Nb 2.36-2.63
S  0.8501  0.2755  0.0418  3 Nb 2.43-2.54
S  0.9454  0.4851  0.2403  3 Nb 2.40-2.56
S  0.9489  0.3225  0.5642  3 Nb 2.44-2.56

***

# LaGe4Rh6

An optimized crystal structure of LaGe4Rh6 (PBE, Materials Project).

The value obtained for the formation energy is -0.75 eV per atom.

Unit cell a=7.2459 b=7.2459 c=3.9216 alpha=90.00 beta=90.00 gamma=120.00
With the nearest neighbours (Å) after each atom.
Fractional coordinates of all 11 atoms:
La  0.0000  0.0000  0.0000  6 Ge 3.18, 6 Rh 3.20
Ge  0.3333  0.6667  0.0000  9 Rh 2.51-2.57
Ge  0.3988  0.1994  0.5000  6 Rh 2.51-2.58
Ge  0.8006  0.1994  0.5000  6 Rh 2.51-2.58
Ge  0.8006  0.6012  0.5000  6 Rh 2.51-2.58
Rh  0.2011  0.4021  0.5000  4 Ge 2.51-2.57
Rh  0.2011  0.7989  0.5000  4 Ge 2.51-2.57
Rh  0.5331  0.0662  0.0000  5 Ge 2.51-2.58
Rh  0.5331  0.4669  0.0000  5 Ge 2.51-2.58
Rh  0.5979  0.7989  0.5000  4 Ge 2.51-2.57
Rh  0.9338  0.4669  0.0000  5 Ge 2.51-2.58